A relaxed Li9Mn2Co5O16 crystal, computed with GGA+U.

Structure (POSCAR):
```
Li9Mn2Co5O16
1.0
4.982 0.000 0.000
-0.164 5.943 0.000
-0.589 -1.768 9.636
O Li Co Mn
16 9 5 2
Cartesian
0.840 4.187 8.490
3.366 2.813 8.496
0.884 1.355 1.133
3.438 -0.104 8.523
1.852 -0.057 5.866
-0.033 2.719 3.797
2.546 1.361 3.803
0.785 4.284 1.139
0.900 1.218 8.554
3.386 -0.007 1.091
2.525 4.520 3.672
3.968 4.326 5.827
0.029 -0.033 3.761
4.309 1.164 5.931
3.324 2.977 1.109
1.724 2.716 5.890
2.456 4.220 7.170
0.137 -0.238 7.193
1.748 -0.114 2.442
4.177 1.392 2.443
4.106 4.408 2.452
1.612 2.939 2.453
0.081 2.760 7.211
0.810 4.317 4.810
2.621 1.298 7.193
2.452 1.508 0.001
3.390 -0.179 4.800
4.897 2.974 0.012
1.782 2.676 9.636
3.338 2.864 4.815
0.879 1.324 4.838
-0.748 4.177 9.624
```

Energy of formation = -1830 meV/atom
E above lowest polymorph = 35 meV per atom
Space-group type = No. 1
Total energy after the MP2020 corrections = -208.76 eV for the cell shown